[1]
72
Lattice="9.419 0.000 0.000 -4.709 8.157 0.000 0.000 0.000 18.962" Properties=species:S:1:pos:R:3 comment="Sn2Mo15S19, optimized geometry, DFT PBE-GGA" space_group="No. 176" density_g_cm3=5.211 delta_e_f_mev_per_atom=-883 pbc="T T T"
Sn 0.000 5.438 1.963
Sn 0.000 5.438 7.518
Sn 4.709 2.719 11.444
Sn 4.709 2.719 16.999
Mo -0.637 1.406 10.621
Mo -0.637 1.406 17.822
Mo -3.173 8.006 10.621
Mo -3.173 8.006 17.822
Mo -0.904 4.138 14.222
Mo 0.899 1.255 1.140
Mo 0.899 1.255 8.341
Mo -1.550 5.575 11.989
Mo -1.550 5.575 16.455
Mo 0.656 4.027 11.989
Mo 0.656 4.027 16.455
Mo -0.674 6.871 14.222
Mo 1.578 5.305 14.222
Mo 3.816 1.445 2.508
Mo 3.816 1.445 6.973
Mo 0.894 6.712 11.989
Mo 0.894 6.712 16.455
Mo 3.132 2.852 4.741
Mo 5.383 1.286 4.741
Mo 4.053 4.130 2.508
Mo 4.053 4.130 6.973
Mo 6.259 2.582 2.508
Mo 6.259 2.582 6.973
Mo 3.810 6.902 10.621
Mo 3.810 6.902 17.822
Mo 5.614 4.019 4.741
Mo 7.882 0.151 1.140
Mo 7.882 0.151 8.341
Mo 5.347 6.751 1.140
Mo 5.347 6.751 8.341
S 0.000 0.000 3.000
S 0.000 0.000 6.481
S 0.000 0.000 12.481
S 0.000 0.000 15.963
S -1.718 3.133 12.153
S -1.718 3.133 16.290
S -1.144 2.604 0.974
S -1.144 2.604 8.508
S -2.832 5.692 14.222
S -1.882 7.846 0.974
S -1.882 7.846 8.508
S 1.196 2.858 14.222
S 1.683 2.293 10.455
S 1.683 2.293 17.989
S 0.000 5.438 10.136
S 0.000 5.438 18.307
S 3.074 0.393 4.741
S -1.137 8.079 12.153
S -1.137 8.079 16.290
S 1.854 3.054 2.672
S 1.854 3.054 6.809
S 2.855 5.103 12.153
S 2.855 5.103 16.290
S 5.847 0.079 2.672
S 5.847 0.079 6.809
S 1.636 7.764 14.222
S 4.709 2.719 0.655
S 4.709 2.719 8.826
S 3.026 5.864 0.974
S 3.026 5.864 8.508
S 3.513 5.299 4.741
S 6.592 0.311 10.455
S 6.592 0.311 17.989
S 7.541 2.465 4.741
S 5.853 5.553 10.455
S 5.853 5.553 17.989
S 6.428 5.024 2.672
S 6.428 5.024 6.809


[2]
10
Lattice="1.968 -5.457 0.000 1.968 5.457 0.000 0.000 0.000 7.302" Properties=species:S:1:pos:R:3 comment="HoRe2SiC, optimized geometry, DFT PBE-GGA" space_group="No. 63" density_g_cm3=12.225 delta_e_f_mev_per_atom=-460 pbc="T T T"
Ho 1.968 4.984 5.477
Ho 1.968 -4.984 1.826
Re 1.968 1.897 4.095
Re 1.968 1.897 6.858
Re 1.968 -1.897 0.444
Re 1.968 -1.897 3.207
Si 1.968 2.896 1.826
Si 1.968 -2.896 5.477
C 1.968 0.000 0.000
C 1.968 0.000 3.651


[3]
32
Lattice="7.668 0.000 0.000 0.000 6.275 0.000 -3.062 0.000 9.185" Properties=species:S:1:pos:R:3 comment="RbPH2O4, optimized geometry, DFT PBE-GGA" e_above_lowest_polymorph_ev_per_fu=0.06 space_group="No. 14" density_g_cm3=2.742 delta_e_f_mev_per_atom=-2182 pbc="T T T"
Rb 1.146 1.524 2.011
Rb -0.385 1.614 6.604
Rb 4.991 4.661 2.582
Rb 3.460 4.751 7.174
P 0.508 4.679 4.414
P -1.023 4.733 9.007
P 5.629 1.542 0.178
P 4.098 1.595 4.771
H 0.541 4.621 1.500
H -0.989 4.792 6.092
H 3.834 0.000 0.000
H 2.303 0.000 4.593
H 3.834 3.137 0.000
H 2.303 3.137 4.593
H 5.596 1.483 3.093
H 4.065 1.654 7.686
O -0.936 4.647 5.076
O 0.595 4.765 0.483
O 0.307 4.333 2.951
O -1.224 5.079 7.544
O 2.631 3.306 0.050
O 1.100 6.106 4.642
O 1.368 3.626 5.176
O 2.899 5.786 0.583
O 1.707 0.489 8.602
O 3.238 2.649 4.010
O 3.506 0.169 4.543
O 1.975 2.969 9.136
O 5.830 1.196 1.641
O 4.299 1.942 6.234
O 4.011 1.510 8.702
O 5.542 1.628 4.109


[4]
14
Lattice="6.646 -3.896 0.000 6.646 3.896 0.000 -4.327 0.000 6.349" Properties=species:S:1:pos:R:3 comment="Y3Mg2VS8, optimized geometry, DFT PBE-GGA" space_group="No. 12" density_g_cm3=3.145 delta_e_f_mev_per_atom=-1906 pbc="T T T"
Y 0.000 0.000 0.000
Y 1.159 1.948 3.175
Y 1.159 -1.948 3.175
Mg 4.449 0.000 0.786
Mg 4.515 0.000 5.563
V -2.164 0.000 3.175
S 5.475 2.102 1.719
S 3.489 2.102 4.630
S -0.091 0.000 4.643
S 2.167 0.000 1.607
S 6.798 0.000 4.742
S 9.055 0.000 1.707
S 5.475 -2.102 1.719
S 3.489 -2.102 4.630


[5]
8
Lattice="6.607 0.000 0.000 -3.303 5.722 0.000 0.000 0.000 4.632" Properties=species:S:1:pos:R:3 comment="LaPrAl6, optimized geometry, DFT PBE-GGA" space_group="No. 187" density_g_cm3=4.189 delta_e_f_mev_per_atom=-439 pbc="T T T"
La 0.000 0.000 0.000
Pr 3.303 1.907 2.316
Al -1.385 3.015 0.000
Al 0.000 2.222 2.316
Al -1.379 4.611 2.316
Al 1.385 3.015 0.000
Al 0.000 5.414 0.000
Al 1.379 4.611 2.316


[6]
24
Lattice="6.021 0.000 0.000 0.000 11.635 0.000 0.000 0.000 3.616" Properties=species:S:1:pos:R:3 comment="HoB4Mo, optimized geometry, DFT PBE-GGA" space_group="No. 55" density_g_cm3=7.974 delta_e_f_mev_per_atom=-634 pbc="T T T"
Ho 0.764 1.744 0.000
Ho 2.247 7.561 0.000
Ho 3.774 4.074 0.000
Ho 5.257 9.891 0.000
B 0.145 8.070 1.808
B 0.690 6.370 1.808
B 0.800 11.261 1.808
B 1.283 9.465 1.808
B 1.727 3.647 1.808
B 2.210 5.443 1.808
B 2.321 0.553 1.808
B 2.865 2.253 1.808
B 3.155 9.382 1.808
B 3.700 11.082 1.808
B 3.811 6.191 1.808
B 4.294 7.987 1.808
B 4.737 2.170 1.808
B 5.220 0.374 1.808
B 5.331 5.265 1.808
B 5.875 3.565 1.808
Mo 0.782 4.844 0.000
Mo 2.228 10.661 0.000
Mo 3.792 0.973 0.000
Mo 5.239 6.791 0.000


[7]
104
Lattice="-7.665 10.235 7.659 7.665 -10.235 7.659 7.665 10.235 -7.659" Properties=species:S:1:pos:R:3 comment="Ca14MnP11, optimized geometry, DFT PBE-GGA" space_group="No. 45" density_g_cm3=2.644 delta_e_f_mev_per_atom=-1054 pbc="T T T"
Ca 0.000 0.000 0.000
Ca 11.856 -0.055 0.278
Ca 3.475 0.055 0.278
Ca 8.888 -1.627 1.638
Ca 9.033 1.872 -0.469
Ca 6.618 8.656 -4.679
Ca 4.532 3.569 -0.503
Ca 9.223 5.039 -1.567
Ca 6.586 -3.183 4.633
Ca 6.565 -7.010 7.528
Ca 4.472 6.763 -2.771
Ca 9.223 -5.039 6.092
Ca 6.442 1.627 1.638
Ca 1.538 -1.952 5.013
Ca 3.454 10.097 -3.447
Ca 1.048 1.579 2.980
Ca 4.211 0.137 4.212
Ca 4.532 -3.569 7.156
Ca 7.665 0.000 4.537
Ca 6.565 7.010 -0.131
Ca 1.843 5.054 1.911
Ca 1.367 8.363 -0.469
Ca 9.509 5.181 1.911
Ca 5.780 4.990 2.648
Ca 6.128 12.187 -2.646
Ca -1.885 5.245 2.648
Ca 8.744 3.183 4.633
Ca 3.194 3.472 4.888
Ca 0.000 0.000 7.659
Ca 3.475 -0.055 7.937
Ca 4.191 10.290 0.278
Ca -1.223 8.608 1.638
Ca 6.298 1.872 7.191
Ca 8.713 8.656 2.980
Ca 3.133 13.804 -0.503
Ca 6.107 5.039 6.092
Ca 1.079 7.051 4.633
Ca 1.100 3.224 7.528
Ca -4.472 6.763 4.888
Ca -1.558 5.196 6.092
Ca 1.223 11.862 1.638
Ca 6.128 8.283 5.013
Ca -3.454 10.097 4.212
Ca -1.048 1.579 10.639
Ca 3.454 10.372 4.212
Ca 3.133 6.665 7.156
Ca 0.000 10.235 4.537
Ca 1.100 17.245 -0.131
Ca -1.843 5.054 9.570
Ca -1.843 15.416 1.911
Ca -1.367 8.363 7.191
Ca 1.885 15.225 2.648
Ca 1.538 1.952 12.672
Ca 1.885 5.245 10.307
Ca -1.079 13.418 4.633
Ca 4.472 13.706 4.888
Mn 3.843 -2.558 2.255
Mn 11.488 2.558 2.255
Mn 3.822 7.676 2.255
Mn 3.843 2.558 9.914
P 11.800 -2.560 1.974
P 7.285 6.079 -3.365
P 1.784 -1.285 2.197
P 5.889 -1.272 2.335
P 3.782 -3.870 4.295
P 1.855 2.566 0.293
P 9.389 -2.548 4.383
P 11.416 3.806 0.193
P 5.881 11.520 -5.462
P 9.442 1.272 2.335
P 7.250 4.175 0.322
P 3.531 2.560 1.974
P 7.250 -4.175 7.981
P 5.829 9.296 -1.962
P 3.751 6.428 0.193
P 5.806 -0.962 6.493
P 9.520 7.669 0.293
P 5.942 2.548 4.383
P 1.837 0.939 5.698
P 3.883 14.104 -3.364
P 1.859 11.197 -1.166
P 0.381 4.156 4.295
P 3.531 -2.560 9.633
P 8.046 6.079 4.295
P 5.881 8.949 2.197
P 1.777 8.963 2.335
P 3.883 6.365 4.295
P -1.855 2.566 7.952
P -1.723 7.687 4.383
P 3.915 3.806 7.852
P 1.784 1.285 9.856
P -1.777 11.506 2.335
P 0.415 14.409 0.322
P 4.135 12.795 1.974
P 0.415 6.060 7.981
P 1.837 -0.939 13.357
P -3.751 6.428 7.852
P 1.859 9.273 6.493
P 5.811 7.669 7.952
P 1.723 12.782 4.383
P 5.829 11.173 5.698
P -3.883 14.104 4.295
P -1.859 11.197 6.493
P -0.381 4.156 11.954


[8]
13
Lattice="-4.443 4.443 2.552 4.443 -4.443 2.552 4.443 4.443 -2.552" Properties=species:S:1:pos:R:3 comment="GdAl8Fe4, optimized geometry, DFT PBE-GGA" space_group="No. 139" density_g_cm3=4.917 delta_e_f_mev_per_atom=-410 pbc="T T T"
Gd 0.000 0.000 0.000
Al 3.019 0.000 0.000
Al 5.866 0.000 0.000
Al 4.443 2.484 0.000
Al 0.000 3.019 0.000
Al 2.484 4.443 0.000
Al 1.959 0.000 2.552
Al 0.000 5.866 0.000
Al 0.000 1.959 2.552
Fe 2.221 2.221 -1.276
Fe 2.221 -2.221 1.276
Fe -2.221 2.221 1.276
Fe 2.221 2.221 1.276


[9]
4
Lattice="3.065 -3.095 0.000 3.065 3.095 0.000 0.000 0.000 6.091" Properties=species:S:1:pos:R:3 comment="CdTe, optimized geometry, DFT PBE-GGA" space_group="No. 63" density_g_cm3=6.898 delta_e_f_mev_per_atom=-487 pbc="T T T"
Cd 3.065 1.715 4.568
Cd 3.065 -1.715 1.523
Te 3.065 1.447 1.523
Te 3.065 -1.447 4.568


[10]
17
Lattice="5.579 0.000 0.000 2.529 6.928 0.000 2.395 -0.511 11.831" Properties=species:S:1:pos:R:3 comment="K4MgNb2Cu2S8, optimized geometry, DFT PBE-GGA" e_above_lowest_polymorph_ev_per_fu=0.22 space_group="No. 1" density_g_cm3=2.724 delta_e_f_mev_per_atom=-1141 pbc="T T T"
K 0.000 0.000 0.000
K 4.010 3.573 8.591
K 5.388 6.754 3.155
K 6.972 3.419 5.367
Mg 4.940 0.324 9.399
Nb 2.956 0.066 7.185
Nb 7.033 3.373 1.134
Cu 4.246 3.425 1.163
Cu 5.759 -0.141 6.768
S 2.784 4.742 2.449
S 4.286 5.366 5.917
S 5.193 1.440 11.651
S 4.206 1.341 5.755
S 6.957 5.245 8.093
S 8.077 4.218 11.650
S 5.656 2.078 2.456
S 6.933 1.342 8.337